A relaxed structure of Li8Fe2O7. Source: the Materials Project, functional PBE with a Hubbard U. Values from VASP.

Results
As for the calculated formation energy: -33.33 eV per formula unit. The value obtained for the mass density is 2.66 Mg/m³. The calculated total energy is -90.853 eV/f.u.

The structure in Quantum ESPRESSO input format:
```
&SYSTEM
  ibrav = 0, nat = 68, ntyp = 3
/
ATOMIC_SPECIES
Li 6.94 Li.upf
Fe 55.84 Fe.upf
O 16.00 O.upf
CELL_PARAMETERS angstrom
7.8451 0.0000 0.0000
0.0000 10.0193 0.0000
-2.8822 0.0000 8.8697
ATOMIC_POSITIONS crystal
Li 0.0041 0.2322 0.3793
Li 0.0041 0.2678 0.8793
Li 0.0610 0.5285 0.6524
Li 0.0610 0.9715 0.1524
Li 0.1562 0.0050 0.4786
Li 0.1562 0.4950 0.9786
Li 0.2190 0.7408 0.9326
Li 0.2190 0.7592 0.4326
Li 0.2497 0.0500 0.7979
Li 0.2497 0.4500 0.2979
Li 0.3695 0.5220 0.5651
Li 0.3695 0.9780 0.0651
Li 0.3950 0.2370 0.4659
Li 0.3950 0.2630 0.9659
Li 0.4174 0.5336 0.8615
Li 0.4174 0.9664 0.3615
Li 0.5826 0.0336 0.6385
Li 0.5826 0.4664 0.1385
Li 0.6050 0.7370 0.0341
Li 0.6050 0.7630 0.5341
Li 0.6305 0.0220 0.9349
Li 0.6305 0.4780 0.4349
Li 0.7503 0.5500 0.7021
Li 0.7503 0.9500 0.2021
Li 0.7810 0.2408 0.5674
Li 0.7810 0.2592 0.0674
Li 0.8438 0.5050 0.0214
Li 0.8438 0.9950 0.5214
Li 0.9390 0.0285 0.8476
Li 0.9390 0.4715 0.3476
Li 0.9959 0.7322 0.1207
Li 0.9959 0.7678 0.6207
Fe 0.1817 0.2193 0.1482
Fe 0.1817 0.2807 0.6482
Fe 0.3998 0.7051 0.2222
Fe 0.3998 0.7949 0.7222
Fe 0.6002 0.2051 0.2778
Fe 0.6002 0.2949 0.7778
Fe 0.8183 0.7193 0.3518
Fe 0.8183 0.7807 0.8518
O 0.0171 0.1397 0.5857
O 0.0171 0.3603 0.0857
O 0.1645 0.1119 0.3074
O 0.1645 0.3881 0.8074
O 0.1744 0.1131 0.9760
O 0.1744 0.3869 0.4760
O 0.2233 0.6644 0.6701
O 0.2233 0.8356 0.1701
O 0.3917 0.6078 0.3905
O 0.3917 0.8922 0.8905
O 0.3971 0.1729 0.7186
O 0.3971 0.3271 0.2186
O 0.3999 0.6092 0.0477
O 0.3999 0.8908 0.5477
O 0.6001 0.1092 0.4523
O 0.6001 0.3908 0.9523
O 0.6029 0.6729 0.7814
O 0.6029 0.8271 0.2814
O 0.6083 0.1078 0.1095
O 0.6083 0.3922 0.6095
O 0.7767 0.1644 0.8299
O 0.7767 0.3356 0.3299
O 0.8256 0.6131 0.5240
O 0.8256 0.8869 0.0240
O 0.8355 0.6119 0.1926
O 0.8355 0.8881 0.6926
O 0.9829 0.6397 0.9143
O 0.9829 0.8603 0.4143
```